Entry A
VASP calculation (PBE with a Hubbard U) on Li2TiFeO4 after structural relaxation.

Cell and atoms, written as POSCAR:
```
Li2TiFeO4
1.0
6.027 0.000 0.000
3.012 5.230 0.000
2.995 1.586 9.788
Li Ti Fe O
8 4 4 16
direct
0.000 0.000 0.000
0.001 0.992 0.502
0.248 0.746 0.254
0.495 0.999 0.001
0.498 0.501 0.502
0.501 0.493 0.003
0.748 0.246 0.754
0.994 0.500 0.501
0.247 0.252 0.751
0.495 0.003 0.501
0.747 0.752 0.251
0.998 0.502 0.001
0.247 0.251 0.251
0.248 0.751 0.751
0.747 0.751 0.751
0.748 0.251 0.251
0.098 0.631 0.123
0.108 0.161 0.119
0.134 0.594 0.635
0.145 0.131 0.622
0.350 0.371 0.879
0.360 0.911 0.865
0.386 0.343 0.381
0.396 0.872 0.378
0.597 0.132 0.623
0.607 0.662 0.621
0.636 0.093 0.135
0.646 0.631 0.123
0.849 0.871 0.378
0.858 0.412 0.365
0.887 0.842 0.880
0.897 0.371 0.878
```

Values from the calculation:
Magnetization (Bohr magnetons per cell): 16.000
SG: P1

=====

Entry B
VASP calculation (PBE with a Hubbard U) on Li2TiFeO4 after structural relaxation.

Cell and atoms, written as POSCAR:
```
Li2TiFeO4
1.0
5.349 0.000 0.000
0.140 5.869 0.000
1.179 0.341 9.831
Li Ti Fe O
8 4 4 16
direct
0.000 0.000 0.000
0.021 0.254 0.498
0.248 0.505 0.251
0.292 0.756 0.745
0.496 0.005 0.500
0.561 0.257 0.988
0.747 0.496 0.750
0.805 0.759 0.241
0.009 0.760 0.519
0.258 0.258 0.772
0.506 0.762 0.023
0.756 0.264 0.272
0.005 0.499 0.997
0.254 0.010 0.246
0.491 0.506 0.502
0.751 0.993 0.748
0.063 0.252 0.142
0.115 0.989 0.624
0.118 0.504 0.625
0.162 0.752 0.109
0.303 0.758 0.388
0.368 0.004 0.877
0.369 0.490 0.872
0.413 0.261 0.362
0.563 0.240 0.644
0.619 0.994 0.123
0.621 0.508 0.126
0.658 0.742 0.606
0.811 0.745 0.892
0.865 0.011 0.377
0.866 0.494 0.373
0.912 0.247 0.859
```

Values from the calculation:
Magnetization (Bohr magnetons per cell): 0.000
SG: P1

=====

Entry C
VASP calculation (PBE with a Hubbard U) on Li2TiFeO4 after structural relaxation.

Cell and atoms, written as POSCAR:
```
Li2TiFeO4
1.0
5.810 0.000 0.000
2.888 7.332 0.000
2.887 1.796 7.110
Li Ti Fe O
8 4 4 16
direct
0.000 0.000 0.000
0.121 0.376 0.877
0.250 0.252 0.250
0.374 0.625 0.126
0.497 0.502 0.499
0.624 0.874 0.375
0.746 0.750 0.750
0.875 0.125 0.625
0.123 0.877 0.375
0.372 0.127 0.625
0.623 0.376 0.874
0.873 0.626 0.125
0.245 0.751 0.750
0.500 0.005 0.997
0.752 0.247 0.253
0.996 0.499 0.503
0.120 0.658 0.590
0.135 0.089 0.155
0.246 0.501 0.000
0.247 0.000 0.500
0.373 0.340 0.412
0.374 0.909 0.837
0.499 0.750 0.251
0.500 0.250 0.751
0.618 0.593 0.662
0.627 0.164 0.095
0.750 0.501 0.000
0.751 0.001 0.499
0.868 0.844 0.909
0.873 0.409 0.343
0.997 0.251 0.751
0.998 0.751 0.249
```

Values from the calculation:
Magnetization (Bohr magnetons per cell): 0.002
SG: P1

=====

Least stable of them? entry C.

=====

Entry A
VASP calculation (PBE with a Hubbard U) on V2ZnO4 after structural relaxation.

Cell and atoms, written as POSCAR:
```
V2ZnO4
1.0
-3.005 3.025 4.392
3.005 -3.025 4.392
3.005 3.025 -4.392
V Zn O
4 2 8
direct
0.000 0.000 0.000
0.382 0.632 0.750
0.500 0.000 0.500
0.618 0.368 0.250
0.000 0.000 0.500
0.000 0.500 0.000
0.228 0.237 0.991
0.252 0.234 0.482
0.252 0.770 0.018
0.255 0.763 0.491
0.745 0.237 0.509
0.748 0.230 0.982
0.748 0.766 0.518
0.772 0.763 0.009
```

Values from the calculation:
Magnetization (Bohr magnetons per cell): 8.000
SG: Imma

=====

Entry B
VASP calculation (PBE with a Hubbard U) on V2ZnO4 after structural relaxation.

Cell and atoms, written as POSCAR:
```
V2ZnO4
1.0
2.984 0.000 0.000
0.000 9.802 0.000
0.000 0.000 9.978
V Zn O
8 4 16
direct
0.227 0.118 0.072
0.227 0.118 0.428
0.227 0.382 0.572
0.227 0.382 0.928
0.773 0.618 0.072
0.773 0.618 0.428
0.773 0.882 0.572
0.773 0.882 0.928
0.326 0.640 0.750
0.326 0.860 0.250
0.674 0.140 0.750
0.674 0.360 0.250
0.176 0.215 0.250
0.176 0.285 0.750
0.257 0.019 0.612
0.257 0.019 0.888
0.257 0.481 0.112
0.257 0.481 0.388
0.300 0.750 0.000
0.300 0.750 0.500
0.700 0.250 0.000
0.700 0.250 0.500
0.743 0.519 0.612
0.743 0.519 0.888
0.743 0.981 0.112
0.743 0.981 0.388
0.824 0.715 0.250
0.824 0.785 0.750
```

Values from the calculation:
Magnetization (Bohr magnetons per cell): 16.000
SG: Pbcm

=====

Entry C
VASP calculation (PBE with a Hubbard U) on V2ZnO4 after structural relaxation.

Cell and atoms, written as POSCAR:
```
V2ZnO4
1.0
5.978 0.000 0.000
0.000 10.308 0.000
0.000 0.000 5.188
V Zn O
8 4 16
direct
0.000 0.000 0.000
0.000 0.500 0.000
0.250 0.016 0.487
0.250 0.484 0.487
0.500 0.000 0.000
0.500 0.500 0.000
0.750 0.516 0.513
0.750 0.984 0.513
0.250 0.250 0.851
0.250 0.750 0.536
0.750 0.250 0.464
0.750 0.750 0.149
0.002 0.613 0.335
0.002 0.887 0.335
0.250 0.109 0.143
0.250 0.391 0.143
0.250 0.599 0.807
0.250 0.901 0.807
0.498 0.613 0.335
0.498 0.887 0.335
0.502 0.113 0.665
0.502 0.387 0.665
0.750 0.099 0.193
0.750 0.401 0.193
0.750 0.609 0.857
0.750 0.891 0.857
0.998 0.113 0.665
0.998 0.387 0.665
```

Values from the calculation:
Magnetization (Bohr magnetons per cell): 16.000
SG: Pmmn

=====

Least stable of them? entry C.

=====

Entry A
VASP calculation (PBE with a Hubbard U) on Li3Mo3P4O16 after structural relaxation.

Cell and atoms, written as POSCAR:
```
Li3Mo3P4O16
1.0
8.393 0.000 0.000
-0.004 9.153 0.000
-0.067 -0.949 13.000
Li Mo P O
9 9 12 48
direct
0.000 0.000 0.000
0.005 0.668 0.680
0.232 0.183 0.675
0.246 0.840 0.340
0.503 0.652 0.344
0.511 0.300 0.014
0.730 0.132 0.346
0.735 0.822 0.014
0.745 0.481 0.687
0.008 0.351 0.344
0.236 0.517 0.014
0.372 0.571 0.682
0.374 0.914 0.009
0.383 0.237 0.346
0.509 0.969 0.676
0.860 0.406 0.012
0.868 0.749 0.343
0.882 0.080 0.676
0.057 0.732 0.124
0.069 0.388 0.789
0.073 0.050 0.451
0.168 0.213 0.118
0.172 0.885 0.788
0.187 0.563 0.459
0.564 0.929 0.232
0.572 0.600 0.901
0.574 0.270 0.571
0.669 0.433 0.234
0.675 0.098 0.900
0.688 0.754 0.565
0.003 0.901 0.740
0.010 0.569 0.406
0.019 0.889 0.435
0.021 0.561 0.099
0.026 0.223 0.767
0.069 0.100 0.568
0.070 0.761 0.241
0.072 0.412 0.913
0.173 0.587 0.576
0.176 0.255 0.239
0.176 0.927 0.905
0.220 0.052 0.100
0.223 0.394 0.430
0.225 0.724 0.767
0.233 0.736 0.073
0.242 0.403 0.748
0.244 0.064 0.409
0.285 0.991 0.733
0.288 0.311 0.065
0.300 0.663 0.411
0.447 0.827 0.278
0.455 0.175 0.630
0.458 0.494 0.954
0.501 0.418 0.280
0.502 0.083 0.941
0.512 0.749 0.617
0.518 0.761 0.922
0.520 0.431 0.588
0.523 0.095 0.257
0.569 0.221 0.454
0.569 0.901 0.113
0.570 0.558 0.784
0.669 0.392 0.117
0.673 0.071 0.777
0.673 0.728 0.447
0.718 0.263 0.921
0.724 0.924 0.592
0.725 0.593 0.255
0.737 0.915 0.279
0.740 0.584 0.948
0.745 0.255 0.613
0.783 0.326 0.287
0.793 0.994 0.942
0.801 0.654 0.614
0.944 0.828 0.072
0.951 0.492 0.748
0.956 0.145 0.390
0.997 0.233 0.079
```

Values from the calculation:
Magnetization (Bohr magnetons per cell): 26.997
SG: P1

=====

Entry B
VASP calculation (PBE with a Hubbard U) on Li3Mo3P4O16 after structural relaxation.

Cell and atoms, written as POSCAR:
```
Li3Mo3P4O16
1.0
8.738 0.000 0.000
0.000 5.104 0.000
-7.462 0.000 13.708
Li Mo P O
6 6 8 32
direct
0.000 0.000 0.000
0.000 0.500 0.500
0.263 0.052 0.613
0.263 0.448 0.113
0.737 0.552 0.887
0.737 0.948 0.387
0.219 0.525 0.718
0.219 0.975 0.218
0.500 0.000 0.500
0.500 0.500 0.000
0.781 0.025 0.782
0.781 0.475 0.282
0.065 0.501 0.887
0.065 0.999 0.387
0.470 0.004 0.851
0.470 0.496 0.351
0.530 0.504 0.649
0.530 0.996 0.149
0.935 0.001 0.613
0.935 0.499 0.113
0.027 0.746 0.605
0.027 0.754 0.105
0.056 0.230 0.614
0.056 0.270 0.114
0.084 0.509 0.795
0.084 0.991 0.295
0.242 0.513 0.983
0.242 0.987 0.483
0.338 0.033 0.127
0.338 0.467 0.627
0.347 0.598 0.247
0.347 0.902 0.747
0.427 0.194 0.356
0.427 0.306 0.856
0.433 0.653 0.422
0.433 0.847 0.922
0.567 0.153 0.078
0.567 0.347 0.578
0.573 0.694 0.144
0.573 0.806 0.644
0.653 0.098 0.253
0.653 0.402 0.753
0.662 0.533 0.373
0.662 0.967 0.873
0.758 0.013 0.517
0.758 0.487 0.017
0.916 0.009 0.705
0.916 0.491 0.205
0.944 0.730 0.886
0.944 0.770 0.386
0.973 0.246 0.895
0.973 0.254 0.395
```

Values from the calculation:
Magnetization (Bohr magnetons per cell): 17.999
SG: P2_1/c

=====

Least stable of them? entry A.